(1)
Fe2S3O12 | r²SCAN | optimized geometry

a = 8.2311 Å, b = 8.2311 Å, c = 22.3018 Å
α = 90.00°, β = 90.00°, γ = 120.00°
Space group R-3 (No. 148, hexagonal axes)
Inequivalent atoms, fractional coordinates:
Fe1 0.0000 0.0000 0.1441 (multiplicity 6)
Fe2 0.0000 0.0000 0.3507 (multiplicity 6)
S1 0.0032 0.2900 0.7491 (multiplicity 18)
O1 0.0111 0.8057 0.1940 (multiplicity 18)
O2 0.0319 0.2061 0.0898 (multiplicity 18)
O3 0.0827 0.2249 0.7021 (multiplicity 18)
O4 0.0825 0.2299 0.3995 (multiplicity 18)

Summary:
For the energy relative to the elements, the calculation gives -1.52 eV/atom. The volume comes out at 1308.5 Å³ per cell. The value obtained for the final energy is -8.853 eV per atom.

=====

(2)
Fe2Se3O12 | r²SCAN | optimized geometry

a = 8.5705 Å, b = 8.9342 Å, c = 14.5815 Å
α = 90.00°, β = 124.67°, γ = 90.00°
Space group P2_1/c (No. 14)
Inequivalent atoms, fractional coordinates:
Fe1 0.1305 0.0323 0.3821 (multiplicity 4)
Fe2 0.3679 0.0315 0.1159 (multiplicity 4)
Se1 0.0323 0.6189 0.6431 (multiplicity 4)
Se2 0.2549 0.1241 0.6518 (multiplicity 4)
Se3 0.4555 0.7471 0.9925 (multiplicity 4)
O1 0.0367 0.7137 0.1914 (multiplicity 4)
O2 0.1140 0.0789 0.6903 (multiplicity 4)
O3 0.1188 0.0040 0.2446 (multiplicity 4)
O4 0.1455 0.0952 0.5171 (multiplicity 4)
O5 0.1649 0.6120 0.5937 (multiplicity 4)
O6 0.1915 0.0764 0.9542 (multiplicity 4)
O7 0.2483 0.6698 0.9452 (multiplicity 4)
O8 0.2951 0.1945 0.1758 (multiplicity 4)
O9 0.3761 0.1224 0.4355 (multiplicity 4)
O10 0.4513 0.0230 0.7213 (multiplicity 4)
O11 0.4569 0.6880 0.3867 (multiplicity 4)
O12 0.4948 0.6208 0.5827 (multiplicity 4)

Summary:
For the energy relative to the elements, the calculation gives -0.93 eV/atom. The volume comes out at 918.3 Å³ per cell. The value obtained for the final energy is -9.364 eV per atom.

=====

(3)
Fe2SiO4 | r²SCAN | optimized geometry

a = 4.8200 Å, b = 10.3774 Å, c = 7.7337 Å
α = 90.00°, β = 128.44°, γ = 90.00°
Space group P2_1/c (No. 14)
Inequivalent atoms, fractional coordinates:
Fe1 0.0000 0.0000 0.0000 (multiplicity 2)
Fe2 0.2356 0.2202 0.7511 (multiplicity 4)
Fe3 0.5000 0.0000 0.5000 (multiplicity 2)
Si1 0.3173 0.5976 0.2496 (multiplicity 4)
O1 0.0200 0.0906 0.2501 (multiplicity 4)
O2 0.2410 0.6661 0.0330 (multiplicity 4)
O3 0.3268 0.1678 0.0358 (multiplicity 4)
O4 0.4595 0.0477 0.7514 (multiplicity 4)

Summary:
For the energy relative to the elements, the calculation gives -2.03 eV/atom. The volume comes out at 303.0 Å³ per cell. The value obtained for the final energy is -10.811 eV per atom.

=====

(4)
FeSiO3 | r²SCAN | optimized geometry

a = 5.2750 Å, b = 6.7107 Å, c = 6.7499 Å
α = 81.73°, β = 73.98°, γ = 74.50°
Space group P-1 (No. 2)
Inequivalent atoms, fractional coordinates:
Fe1 0.2326 0.0771 0.4132 (multiplicity 2)
Fe2 0.2460 0.7956 0.7095 (multiplicity 2)
Si1 0.2362 0.2237 0.8952 (multiplicity 2)
Si2 0.2674 0.5929 0.2747 (multiplicity 2)
O1 0.0210 0.6074 0.1681 (multiplicity 2)
O2 0.1280 0.1286 0.1280 (multiplicity 2)
O3 0.1508 0.7611 0.4505 (multiplicity 2)
O4 0.3595 0.0528 0.7220 (multiplicity 2)
O5 0.3741 0.3574 0.3608 (multiplicity 2)
O6 0.4761 0.3355 0.8907 (multiplicity 2)

Summary:
For the energy relative to the elements, the calculation gives -2.33 eV/atom. The volume comes out at 220.7 Å³ per cell. The value obtained for the final energy is -10.552 eV per atom.

=====

Repeat the first record exactly.
Fe2S3O12 | r²SCAN | optimized geometry

a = 8.2311 Å, b = 8.2311 Å, c = 22.3018 Å
α = 90.00°, β = 90.00°, γ = 120.00°
Space group R-3 (No. 148, hexagonal axes)
Inequivalent atoms, fractional coordinates:
Fe1 0.0000 0.0000 0.1441 (multiplicity 6)
Fe2 0.0000 0.0000 0.3507 (multiplicity 6)
S1 0.0032 0.2900 0.7491 (multiplicity 18)
O1 0.0111 0.8057 0.1940 (multiplicity 18)
O2 0.0319 0.2061 0.0898 (multiplicity 18)
O3 0.0827 0.2249 0.7021 (multiplicity 18)
O4 0.0825 0.2299 0.3995 (multiplicity 18)

Summary:
For the energy relative to the elements, the calculation gives -1.52 eV/atom. The volume comes out at 1308.5 Å³ per cell. The value obtained for the final energy is -8.853 eV per atom.

=====

Which value of volume does entry 2 give?
918.3 Å³ per cell

=====

Look up the volume of the first one.
1308.5 Å³ per cell

=====

Among the records above, which one has the highest volume?
Fe2S3O12